A geometry-optimized UPdSe3 structure, computed with r2SCAN.

E_tot = -151.24 eV per formula unit
energy of formation from the pure elements = -1.080 eV per atom

abc: 8.077 8.696 6.455
angles: 90.00 90.00 90.00
Space group Pnma (No. 62)
Asymmetric unit:
U 0.136 0.250 0.057 (multiplicity 4)
Pd 0.000 0.000 0.500 (multiplicity 4)
Se 0.065 0.750 0.328 (multiplicity 4)
Se 0.154 0.559 0.827 (multiplicity 8)

=====

A geometry-optimized Sm3Si6Pd20 structure, computed with r2SCAN.

E_tot = -624.95 eV per formula unit
energy of formation from the pure elements = -0.824 eV per atom

abc: 12.280 12.280 12.280
angles: 90.00 90.00 90.00
Space group Fm-3m (No. 225)
Asymmetric unit:
Sm 0.000 0.000 0.000 (multiplicity 4)
Sm 0.250 0.250 0.250 (multiplicity 8)
Si 0.000 0.000 0.267 (multiplicity 24)
Pd 0.000 0.173 0.173 (multiplicity 48)
Pd 0.115 0.115 0.385 (multiplicity 32)

=====

A geometry-optimized SmSiPd2 structure, computed with r2SCAN.

E_tot = -88.33 eV per formula unit
energy of formation from the pure elements = -0.975 eV per atom

abc: 7.463 6.917 5.623
angles: 90.00 90.00 90.00
Space group Pnma (No. 62)
Asymmetric unit:
Sm 0.031 0.250 0.145 (multiplicity 4)
Si 0.124 0.750 0.353 (multiplicity 4)
Pd 0.175 0.052 0.593 (multiplicity 8)

=====

A geometry-optimized SmSi2Pd2 structure, computed with r2SCAN.

E_tot = -98.11 eV per formula unit
energy of formation from the pure elements = -0.982 eV per atom

abc: 4.190 4.190 9.915
angles: 90.00 90.00 90.00
Space group I4/mmm (No. 139)
Asymmetric unit:
Sm 0.000 0.000 0.000 (multiplicity 2)
Si 0.000 0.000 0.382 (multiplicity 4)
Pd 0.000 0.500 0.250 (multiplicity 4)

=====

A geometry-optimized SrSiPd structure, computed with r2SCAN.

E_tot = -49.27 eV per formula unit
energy of formation from the pure elements = -0.797 eV per atom

abc: 6.531 6.531 6.531
angles: 90.00 90.00 90.00
Space group P2_13 (No. 198)
Asymmetric unit:
Sr 0.129 0.129 0.129 (multiplicity 4)
Si 0.161 0.339 0.661 (multiplicity 4)
Pd 0.090 0.590 0.910 (multiplicity 4)

=====

A geometry-optimized TbSiPd structure, computed with r2SCAN.

E_tot = -66.14 eV per formula unit
energy of formation from the pure elements = -1.060 eV per atom

abc: 21.020 4.332 7.442
angles: 90.00 90.00 90.00
Space group Pnma (No. 62)
Asymmetric unit:
Tb 0.001 0.250 0.213 (multiplicity 4)
Tb 0.166 0.250 0.294 (multiplicity 4)
Tb 0.167 0.750 0.707 (multiplicity 4)
Si 0.072 0.250 0.592 (multiplicity 4)
Si 0.105 0.750 0.088 (multiplicity 4)
Si 0.229 0.750 0.087 (multiplicity 4)
Pd 0.063 0.750 0.418 (multiplicity 4)
Pd 0.094 0.250 0.921 (multiplicity 4)
Pd 0.237 0.250 0.918 (multiplicity 4)

=====

A geometry-optimized Tm3Si6Pd20 structure, computed with r2SCAN.

E_tot = -641.62 eV per formula unit
energy of formation from the pure elements = -0.842 eV per atom

abc: 12.186 12.186 12.186
angles: 90.00 90.00 90.00
Space group Fm-3m (No. 225)
Asymmetric unit:
Tm 0.000 0.000 0.000 (multiplicity 4)
Tm 0.250 0.250 0.250 (multiplicity 8)
Si 0.000 0.000 0.267 (multiplicity 24)
Pd 0.000 0.173 0.173 (multiplicity 48)
Pd 0.117 0.117 0.383 (multiplicity 32)

=====

A geometry-optimized TmSiPd2 structure, computed with r2SCAN.

E_tot = -93.93 eV per formula unit
energy of formation from the pure elements = -1.027 eV per atom

abc: 7.211 6.936 5.459
angles: 90.00 90.00 90.00
Space group Pnma (No. 62)
Asymmetric unit:
Tm 0.028 0.250 0.142 (multiplicity 4)
Si 0.122 0.750 0.359 (multiplicity 4)
Pd 0.179 0.052 0.593 (multiplicity 8)